A relaxed LiMnVP4O14 crystal. Source: the Materials Project database, functional GGA+U.

a = 4.857 Å, b = 8.149 Å, c = 13.379 Å
α = 91.43°, β = 87.98°, γ = 88.60°
Atoms (fractional coordinates):
O: 0.696 0.686 0.446
O: 0.435 0.042 0.743
O: 0.827 0.198 0.052
O: 0.288 0.651 0.127
O: 0.078 0.674 0.303
O: 0.508 0.350 0.758
O: 0.935 0.042 0.243
O: 0.364 0.929 0.042
O: 0.788 0.651 0.627
O: 0.551 0.536 0.267
O: 0.634 0.438 0.950
O: 0.008 0.350 0.258
O: 0.123 0.336 0.922
O: 0.236 0.150 0.373
O: 0.196 0.686 0.946
O: 0.051 0.536 0.767
O: 0.378 0.827 0.575
O: 0.134 0.437 0.450
O: 0.737 0.150 0.873
O: 0.327 0.198 0.552
O: 0.491 0.846 0.255
O: 0.899 0.172 0.690
O: 0.991 0.846 0.755
O: 0.623 0.335 0.422
O: 0.864 0.929 0.542
O: 0.399 0.172 0.190
O: 0.578 0.674 0.803
O: 0.879 0.827 0.075
Li: 0.824 0.867 0.337
Li: 0.324 0.867 0.837
Mn: 0.151 0.007 0.633
Mn: 0.651 0.006 0.133
V: 0.845 0.495 0.360
V: 0.344 0.495 0.860
P: 0.678 0.780 0.547
P: 0.329 0.285 0.455
P: 0.858 0.680 0.743
P: 0.358 0.680 0.243
P: 0.144 0.178 0.259
P: 0.179 0.780 0.047
P: 0.829 0.285 0.955
P: 0.643 0.178 0.759

M_tot = 0.0 μB per cell
DFT total energy = -7.27 eV per atom
calculated formation energy = -2595 meV/atom
energy with MP2020 corrections = -7.88 eV/atom
offset from the most stable computed form = 0.0000 eV/atom